This record from the Materials Project database describes As5Pb3S10 after structural relaxation. The functional is PBE-GGA.

a b c (Å): 8.7400 8.1718 26.4641
angles (deg): 90.00 104.03 90.00
Closest atoms and distances in Å follow each position.
Space group P2_1/c (No. 14)
Symmetry-distinct sites (fractional):
As  0.1110  0.0082  0.4522 x4  2 S 2.22-2.40
As  0.1916  0.1494  0.1606 x4  3 S 2.23-2.38
As  0.2104  0.6624  0.5473 x4  3 S 2.26-2.39
As  0.2471  0.6570  0.3518 x4  3 S 2.27-2.35
As  0.3580  0.1946  0.9325 x4  3 S 2.26-2.40
Pb  0.0250  0.2372  0.7908 x4  4 S 2.86-3.16
Pb  0.4023  0.0867  0.5792 x4  5 S 2.86-3.05
Pb  0.4845  0.7264  0.6987 x4  5 S 2.87-3.18
S  0.0172  0.6850  0.8247 x4  2 As 2.35-2.38
S  0.0926  0.1836  0.5144 x4  1 As 2.22
S  0.1381  0.0297  0.8985 x4  2 As 2.31-2.34
S  0.2083  0.6558  0.1112 x4  1 As 2.26
S  0.2377  0.0029  0.2354 x4  1 As 2.26
S  0.2422  0.5129  0.2782 x4  1 As 2.27
S  0.3230  0.6705  0.9934 x4  2 As 2.36-2.40
S  0.3356  0.1247  0.3664 x4  1 As 2.26
S  0.3924  0.1756  0.6828 x4  1 As 2.23
S  0.4456  0.5192  0.5885 x4  2 As 2.39-2.40

- Theoretical density: 4770 kg/m3
- Distance to the lowest polymorph of the same formula: 0 kJ/mol of formula units
- Uncorrected energy: -319.9 eV for the cell shown
- Magnetization: 0.00 μB per atom